VASP calculation (PBE+U) on a relaxed structure of La2W19O57.

## Properties
Formation energy from the elements (eV per atom): -2.299
E_tot (eV/f.u.): -593.96
Total energy after the MP2020 corrections (eV/cell): -717.44
Size of the total moment (μB/f.u.): 6.00

Unit cell a=8.691 b=8.692 c=16.486 alpha=83.95 beta=77.82 gamma=66.42
Space group P-1 (No. 2)
Unique sites:
La: 0.052 0.132 0.237 [2 per cell]
W: 0.023 0.813 0.371 [2 per cell]
W: 0.082 0.450 0.103 [2 per cell]
W: 0.134 0.083 0.843 [2 per cell]
W: 0.192 0.704 0.576 [2 per cell]
W: 0.239 0.345 0.318 [2 per cell]
W: 0.294 0.969 0.050 [2 per cell]
W: 0.348 0.601 0.791 [2 per cell]
W: 0.396 0.234 0.526 [2 per cell]
W: 0.453 0.864 0.265 [2 per cell]
W: 0.500 0.500 0.000 [1 per cell]
O: 0.000 0.500 0.000 [1 per cell]
O: 0.026 0.316 0.869 [2 per cell]
O: 0.027 0.311 0.365 [2 per cell]
O: 0.050 0.124 0.738 [2 per cell]
O: 0.076 0.945 0.610 [2 per cell]
O: 0.078 0.952 0.109 [2 per cell]
O: 0.105 0.763 0.474 [2 per cell]
O: 0.127 0.587 0.840 [2 per cell]
O: 0.131 0.579 0.342 [2 per cell]
O: 0.155 0.387 0.211 [2 per cell]
O: 0.181 0.208 0.083 [2 per cell]
O: 0.184 0.211 0.579 [2 per cell]
O: 0.211 0.026 0.947 [2 per cell]
O: 0.229 0.843 0.815 [2 per cell]
O: 0.232 0.850 0.314 [2 per cell]
O: 0.255 0.664 0.687 [2 per cell]
O: 0.289 0.474 0.052 [2 per cell]
O: 0.290 0.473 0.552 [2 per cell]
O: 0.316 0.290 0.421 [2 per cell]
O: 0.335 0.106 0.288 [2 per cell]
O: 0.342 0.106 0.789 [2 per cell]
O: 0.360 0.927 0.160 [2 per cell]
O: 0.395 0.736 0.526 [2 per cell]
O: 0.395 0.737 0.026 [2 per cell]
O: 0.421 0.552 0.895 [2 per cell]
O: 0.447 0.368 0.763 [2 per cell]
O: 0.447 0.369 0.263 [2 per cell]
O: 0.473 0.184 0.632 [2 per cell]
O: 0.500 0.000 0.000 [1 per cell]
O: 0.500 0.000 0.500 [1 per cell]